First-principles (GGA-PBE) data for crystalline MgZr2H10S6O28 at its relaxed geometry, as listed in Materials Project.

abc: 5.1685 8.7561 12.9500
angles: 93.02 91.08 96.07
Last column: nearest neighbours and their distance in Å.
Fractional positions:
Mg (0.0000, 0.0000, 0.0000)  5 O 2.03-2.22
Zr (0.1147, 0.4158, 0.9669)  6 O 2.02-2.22
Zr (0.6556, 0.1754, 0.6180)  7 O 2.05-2.28
H (0.0138, 0.6554, 0.6236)  1 O 0.98
H (0.1500, 0.1060, 0.3394)  1 O 1.05
H (0.2129, 0.7269, 0.7062)  1 O 0.97
H (0.2873, 0.0134, 0.2441)  1 O 0.98
H (0.2976, 0.9384, 0.3604)  1 O 1.07
H (0.4600, 0.5148, 0.3810)  1 O 1.06
H (0.4797, 0.5977, 0.2666)  1 O 1.01
H (0.5422, 0.8261, 0.9729)  1 O 0.98
H (0.5824, 0.4269, 0.2758)  1 O 1.01
H (0.6845, 0.8248, 0.8700)  1 O 0.99
S (0.1538, 0.6849, 0.1043)  4 O 1.45-1.54
S (0.1605, 0.0862, 0.7987)  4 O 1.46-1.55
S (0.1675, 0.3319, 0.4766)  4 O 1.46-1.53
S (0.5481, 0.2179, 0.1048)  4 O 1.45-1.52
S (0.6116, 0.5023, 0.7970)  4 O 1.43-1.54
S (0.6261, 0.8837, 0.5092)  4 O 1.43-1.55
O (0.0023, 0.8158, 0.0924)  1 S 1.47
O (0.1022, 0.2607, 0.3729)  1 H 1.45, 1 S 1.47
O (0.1044, 0.1808, 0.8983)  1 S 1.55
O (0.1296, 0.9292, 0.8324)  1 S 1.46
O (0.1308, 0.6281, 0.6781)  2 H 0.97-0.98
O (0.1891, 0.9983, 0.3076)  3 H 0.98-1.07
O (0.2969, 0.6541, 0.0034)  1 S 1.54
O (0.2978, 0.4874, 0.4717)  1 S 1.46, 1 H 1.47
O (0.3320, 0.7088, 0.1930)  1 S 1.45
O (0.3462, 0.2318, 0.5317)  1 S 1.53
O (0.3516, 0.4486, 0.8417)  1 S 1.51
O (0.3685, 0.0744, 0.0846)  1 S 1.49
O (0.4226, 0.1374, 0.7641)  1 S 1.47
O (0.4273, 0.3480, 0.0563)  1 S 1.51
O (0.4371, 0.8463, 0.4228)  1 H 1.41, 1 S 1.47
O (0.4879, 0.9396, 0.6070)  1 S 1.55
O (0.5689, 0.5295, 0.3134)  3 H 1.01-1.06
O (0.5921, 0.2539, 0.2151)  1 S 1.45
O (0.6382, 0.6644, 0.7836)  1 S 1.43
O (0.6475, 0.4060, 0.7036)  1 S 1.46
O (0.6680, 0.8905, 0.9338)  2 H 0.98-0.99
O (0.7827, 0.7620, 0.5275)  1 S 1.43
O (0.7911, 0.0381, 0.4916)  1 S 1.55
O (0.8042, 0.2033, 0.0512)  1 S 1.52
O (0.8066, 0.4630, 0.8800)  1 S 1.54
O (0.9320, 0.3330, 0.5421)  1 S 1.50
O (0.9653, 0.1174, 0.7193)  1 S 1.48
O (0.9769, 0.5342, 0.1059)  1 S 1.52

Properties
The calculation puts the corrected total energy (MP2020 scheme) at -6.543 eV per atom. The volume is 582 Å³/cell. Its space-group type is No. 1.